(1)
Entry from the Materials Project database: TiTl2F6 after structural relaxation (r²SCAN).

Computed properties:
symmetry	No. 164

abc: 5.9191 5.9191 4.7642
angles: 90.00 90.00 120.00
Fractional coordinates of all 9 atoms:
Ti1 0.0000 0.0000 0.0000
F1 0.3044 0.1522 0.7789
F2 0.8478 0.6956 0.7789
F3 0.8478 0.1522 0.7789
F4 0.6956 0.8478 0.2211
F5 0.1522 0.8478 0.2211
F6 0.1522 0.3044 0.2211
Tl1 0.3333 0.6667 0.6874
Tl2 0.6667 0.3333 0.3126


(2)
Entry from the Materials Project database: Pr3Sn5 after structural relaxation (r²SCAN).

Computed properties:
symmetry	No. 63

abc: 6.6207 6.6207 10.6497
angles: 89.99 89.99 102.95
Fractional coordinates of all 16 atoms:
Pr1 0.7993 0.2007 0.5000
Pr2 0.3633 0.3633 0.7501
Pr3 0.7992 0.2008 0.0000
Pr4 0.6367 0.6367 0.2499
Pr5 0.2008 0.7992 0.0000
Pr6 0.2007 0.7993 0.5000
Sn1 0.6772 0.6772 0.5487
Sn2 0.9276 0.5063 0.7499
Sn3 0.4937 0.0725 0.2501
Sn4 0.3226 0.3226 0.0487
Sn5 0.0273 0.0273 0.2501
Sn6 0.9728 0.9728 0.7499
Sn7 0.6774 0.6774 0.9512
Sn8 0.0725 0.4937 0.2501
Sn9 0.5063 0.9276 0.7499
Sn10 0.3228 0.3228 0.4514


(3)
Entry from the Materials Project database: SrSi after structural relaxation (r²SCAN).

Computed properties:
symmetry	No. 63

abc: 4.0558 4.8288 6.1530
angles: 113.10 90.00 90.00
Fractional coordinates of all 4 atoms:
Sr1 0.2500 0.6387 0.2774
Sr2 0.7500 0.3613 0.7226
Si1 0.7500 0.0637 0.1274
Si2 0.2500 0.9363 0.8726


(4)
Entry from the Materials Project database: MnO2 after structural relaxation (r²SCAN).

Computed properties:
symmetry	No. 58

abc: 2.8625 5.3015 4.3306
angles: 90.00 90.00 122.68
Fractional coordinates of all 6 atoms:
O1 0.3230 0.8230 0.2140
O2 0.3230 0.3230 0.2860
O3 0.6770 0.6770 0.7140
O4 0.6770 0.1770 0.7860
Mn1 0.0000 0.5000 0.5000
Mn2 0.0000 0.0000 0.0000


(5)
Entry from the Materials Project database: LaAs2Au after structural relaxation (r²SCAN).

Computed properties:
symmetry	No. 42

abc: 10.8960 10.8963 4.1520
angles: 79.01 79.02 21.97
Fractional coordinates of all 8 atoms:
As1 0.5084 0.4916 0.0640
As2 0.9360 0.0640 0.4916
As3 0.6570 0.6707 0.3430
As4 0.3293 0.3430 0.6707
Au1 0.2495 0.2505 0.2505
Au2 0.7495 0.7505 0.7505
La1 0.8762 0.8892 0.1238
La2 0.1108 0.1238 0.8892


(6)
Entry from the Materials Project database: NbCl5 after structural relaxation (r²SCAN).

Computed properties:
symmetry	No. 14

abc: 8.0567 8.1961 10.3701
angles: 90.00 90.00 89.98
Fractional coordinates of all 24 atoms:
Cl1 0.8613 0.4273 0.6203
Cl2 0.4540 0.6307 0.6432
Cl3 0.7261 0.7284 0.8774
Cl4 0.9540 0.1307 0.8568
Cl5 0.7739 0.7716 0.3774
Cl6 0.2739 0.2716 0.1226
Cl7 0.1387 0.5727 0.3797
Cl8 0.5412 0.3640 0.8906
Cl9 0.0460 0.8693 0.1432
Cl10 0.6387 0.0727 0.1203
Cl11 0.2261 0.2284 0.6226
Cl12 0.9588 0.1360 0.3906
Cl13 0.6781 0.0598 0.6182
Cl14 0.3219 0.9402 0.3818
Cl15 0.3613 0.9273 0.8797
Cl16 0.4588 0.6360 0.1094
Cl17 0.0412 0.8640 0.6094
Cl18 0.5460 0.3693 0.3568
Cl19 0.8219 0.4402 0.1182
Cl20 0.1781 0.5598 0.8818
Nb1 0.9456 0.1633 0.6388
Nb2 0.5544 0.3367 0.1388
Nb3 0.4456 0.6633 0.8612
Nb4 0.0544 0.8367 0.3612


(7)
Entry from the Materials Project database: MnSi after structural relaxation (r²SCAN).

Computed properties:
symmetry	No. 198

abc: 4.4842 4.4842 4.4842
angles: 90.00 90.00 90.00
Fractional coordinates of all 8 atoms:
Si1 0.1542 0.3458 0.6542
Si2 0.8458 0.8458 0.8458
Si3 0.3458 0.6542 0.1542
Si4 0.6542 0.1542 0.3458
Mn1 0.1364 0.1365 0.1364
Mn2 0.8636 0.6364 0.3635
Mn3 0.3636 0.8636 0.6364
Mn4 0.6365 0.3636 0.8636


(8)
Entry from the Materials Project database: SO3 after structural relaxation (r²SCAN).

Computed properties:
symmetry	No. 14

abc: 4.0611 6.1389 9.0938
angles: 109.81 90.00 90.00
Fractional coordinates of all 16 atoms:
O1 0.6917 0.3453 0.0644
O2 0.2255 0.6646 0.6685
O3 0.3083 0.6547 0.9356
O4 0.2745 0.1646 0.1685
O5 0.7745 0.3354 0.3315
O6 0.1917 0.1547 0.4356
O7 0.1410 0.0868 0.7930
O8 0.8083 0.8453 0.5644
O9 0.7255 0.8354 0.8315
O10 0.6410 0.4132 0.7070
O11 0.3590 0.5868 0.2930
O12 0.8590 0.9132 0.2070
S1 0.9749 0.8840 0.7060
S2 0.4749 0.6160 0.7940
S3 0.0251 0.1160 0.2940
S4 0.5251 0.3840 0.2060


(9)
Entry from the Materials Project database: KMnO4 after structural relaxation (r²SCAN).

Computed properties:
symmetry	No. 62

abc: 5.6143 7.3541 9.0420
angles: 90.00 90.00 90.00
Fractional coordinates of all 24 atoms:
O1 0.2500 0.3964 0.0996
O2 0.5169 0.8169 0.0813
O3 0.2500 0.4627 0.8137
O4 0.7500 0.9627 0.6863
O5 0.7500 0.8964 0.4004
O6 0.7500 0.5373 0.1863
O7 0.9831 0.6831 0.5813
O8 0.0169 0.1831 0.9187
O9 0.4831 0.1831 0.9187
O10 0.0169 0.3169 0.4187
O11 0.2500 0.1036 0.5996
O12 0.2500 0.0373 0.3137
O13 0.9831 0.8169 0.0813
O14 0.7500 0.6036 0.9004
O15 0.5169 0.6831 0.5813
O16 0.4831 0.3169 0.4187
K1 0.7500 0.1556 0.1811
K2 0.2500 0.6556 0.3189
K3 0.2500 0.8444 0.8189
K4 0.7500 0.3444 0.6811
Mn1 0.7500 0.6924 0.0620
Mn2 0.7500 0.8076 0.5620
Mn3 0.2500 0.1924 0.4380
Mn4 0.2500 0.3076 0.9380


(10)
Entry from the Materials Project database: Ba after structural relaxation (r²SCAN).

Computed properties:
symmetry	No. 63
polymorph energy (0 for the lowest one)	0.00	eV/f.u.

abc: 4.6262 4.6303 7.2947
angles: 90.00 90.00 119.97
Fractional coordinates of all 2 atoms:
Ba1 0.1671 0.8342 0.2500
Ba2 0.8329 0.1658 0.7500


(11)
Entry from the Materials Project database: Pr3Rh4Pb13 after structural relaxation (r²SCAN).

Computed properties:
symmetry	No. 223

abc: 10.0921 10.0921 10.0921
angles: 90.00 90.00 90.00
Fractional coordinates of all 40 atoms:
Pb1 0.8064 0.3450 0.5000
Pb2 0.1936 0.6550 0.5000
Pb3 0.0000 0.8450 0.3064
Pb4 0.3064 0.0000 0.1550
Pb5 0.5000 0.5000 0.5000
Pb6 0.3064 0.0000 0.8450
Pb7 0.0000 0.0000 0.0000
Pb8 0.6550 0.5000 0.8064
Pb9 0.6550 0.5000 0.1936
Pb10 0.3450 0.5000 0.1936
Pb11 0.1550 0.3064 0.0000
Pb12 0.6936 0.0000 0.1550
Pb13 0.3450 0.5000 0.8064
Pb14 0.5000 0.1936 0.6550
Pb15 0.5000 0.8064 0.6550
Pb16 0.0000 0.1550 0.3064
Pb17 0.8450 0.6936 0.0000
Pb18 0.0000 0.1550 0.6936
Pb19 0.1550 0.6936 0.0000
Pb20 0.5000 0.1936 0.3450
Pb21 0.8450 0.3064 0.0000
Pb22 0.6936 0.0000 0.8450
Pb23 0.0000 0.8450 0.6936
Pb24 0.1936 0.3450 0.5000
Pb25 0.8064 0.6550 0.5000
Pb26 0.5000 0.8064 0.3450
Pr1 0.0000 0.5000 0.2500
Pr2 0.0000 0.5000 0.7500
Pr3 0.5000 0.2500 0.0000
Pr4 0.5000 0.7500 0.0000
Pr5 0.2500 0.0000 0.5000
Pr6 0.7500 0.0000 0.5000
Rh1 0.7500 0.2500 0.2500
Rh2 0.2500 0.2500 0.2500
Rh3 0.2500 0.7500 0.2500
Rh4 0.2500 0.7500 0.7500
Rh5 0.7500 0.2500 0.7500
Rh6 0.2500 0.2500 0.7500
Rh7 0.7500 0.7500 0.7500
Rh8 0.7500 0.7500 0.2500


(12)
Entry from the Materials Project database: Lu2InAg after structural relaxation (r²SCAN).

Computed properties:
symmetry	No. 225

abc: 5.1038 5.1038 5.1038
angles: 60.00 60.00 60.00
Fractional coordinates of all 4 atoms:
Lu1 0.5000 0.5000 0.5000
Lu2 0.0000 0.0000 0.0000
In1 0.7500 0.7500 0.7500
Ag1 0.2500 0.2500 0.2500


(13)
Entry from the Materials Project database: MnNiO3 after structural relaxation (r²SCAN).

Computed properties:
symmetry	No. 148

abc: 5.3413 5.3413 5.3413
angles: 54.73 54.73 54.73
Fractional coordinates of all 10 atoms:
Mn1 0.1571 0.1571 0.1571
Mn2 0.8429 0.8429 0.8429
O1 0.7710 0.4391 0.0540
O2 0.9460 0.2290 0.5609
O3 0.5609 0.9460 0.2290
O4 0.2290 0.5609 0.9460
O5 0.4391 0.0540 0.7710
O6 0.0540 0.7710 0.4391
Ni1 0.6473 0.6473 0.6473
Ni2 0.3527 0.3527 0.3527


(14)
Entry from the Materials Project database: Rb3YP2O8 after structural relaxation (r²SCAN).

Computed properties:
symmetry	No. 164

abc: 5.6978 5.6978 8.0443
angles: 90.00 90.00 120.00
Fractional coordinates of all 14 atoms:
O1 0.8140 0.6280 0.6603
O2 0.3333 0.6667 0.0850
O3 0.1860 0.8140 0.3397
O4 0.8140 0.1860 0.6603
O5 0.6280 0.8140 0.3397
O6 0.1860 0.3720 0.3397
O7 0.3720 0.1860 0.6603
O8 0.6667 0.3333 0.9150
Rb1 0.6667 0.3333 0.2516
Rb2 0.0000 0.0000 0.0000
Rb3 0.3333 0.6667 0.7484
P1 0.6667 0.3333 0.7273
P2 0.3333 0.6667 0.2727
Y1 0.0000 0.0000 0.5000


(15)
Entry from the Materials Project database: Na3SbO3 after structural relaxation (r²SCAN).

Computed properties:
symmetry	No. 217

abc: 8.1771 8.1771 8.1770
angles: 109.47 109.47 109.47
Fractional coordinates of all 28 atoms:
O1 0.0000 0.5180 0.7783
O2 0.5180 0.0000 0.7783
O3 0.7783 0.0000 0.5180
O4 0.7397 0.2217 0.2217
O5 0.0000 0.7783 0.5180
O6 0.2217 0.2217 0.7397
O7 0.7783 0.5180 0.0000
O8 0.4819 0.2602 0.4819
O9 0.2602 0.4819 0.4819
O10 0.4819 0.4819 0.2602
O11 0.5180 0.7783 0.0000
O12 0.2217 0.7397 0.2217
Sb1 0.0000 0.7103 0.0000
Sb2 0.7103 0.0000 0.0000
Sb3 0.2896 0.2896 0.2896
Sb4 0.0000 0.0000 0.7103
Na1 0.2432 0.7228 0.7228
Na2 0.7228 0.2432 0.7228
Na3 0.7228 0.7228 0.2432
Na4 0.4798 0.4798 0.7569
Na5 0.7569 0.4798 0.4798
Na6 0.2772 0.5202 0.9999
Na7 0.2772 0.9999 0.5202
Na8 0.9999 0.2772 0.5202
Na9 0.4798 0.7569 0.4798
Na10 0.5202 0.9999 0.2772
Na11 0.9999 0.5202 0.2772
Na12 0.5202 0.2772 0.9999


(16)
Entry from the Materials Project database: Be3Rh after structural relaxation (r²SCAN).

Computed properties:
symmetry	No. 194

abc: 4.8089 4.8089 3.7434
angles: 90.00 90.00 120.00
Fractional coordinates of all 8 atoms:
Be1 0.3203 0.1602 0.7500
Be2 0.1602 0.8398 0.2500
Be3 0.8398 0.1602 0.7500
Be4 0.1602 0.3203 0.2500
Be5 0.6797 0.8398 0.2500
Be6 0.8398 0.6797 0.7500
Rh1 0.6667 0.3333 0.2500
Rh2 0.3333 0.6667 0.7500


(17)
Entry from the Materials Project database: NpNi5 after structural relaxation (r²SCAN).

Computed properties:
symmetry	No. 65

abc: 3.9235 4.8444 4.8566
angles: 120.08 90.00 90.00
Fractional coordinates of all 6 atoms:
Np1 0.0000 0.0000 0.0000
Ni1 0.0000 0.6661 0.3331
Ni2 0.0000 0.3339 0.6669
Ni3 0.5000 0.5000 0.5000
Ni4 0.5000 0.5000 0.0000
Ni5 0.5000 0.0000 0.5000


(18)
Entry from the Materials Project database: LiMn2O4 after structural relaxation (r²SCAN).

Computed properties:
symmetry	No. 1

abc: 5.7012 8.0677 9.8780
angles: 114.10 106.77 90.00
Fractional coordinates of all 42 atoms:
Mn1 0.5007 0.9997 0.0002
Mn2 0.3343 0.8327 0.6670
Mn3 0.0004 0.9996 0.5001
Mn4 0.8336 0.3331 0.1668
Mn5 0.8342 0.3328 0.6669
Mn6 0.1671 0.6662 0.3335
Mn7 0.6681 0.6662 0.8336
Mn8 0.5003 0.9996 0.5001
Mn9 0.3336 0.3330 0.1668
Mn10 0.1680 0.6662 0.8336
Mn11 0.0008 0.4997 0.0002
Mn12 0.6670 0.1666 0.3335
O1 0.3430 0.6037 0.6836
O2 0.6926 0.4288 0.8335
O3 0.8430 0.5787 0.6836
O4 0.1426 0.4288 0.8336
O5 0.8587 0.5705 0.1668
O6 0.3089 0.5705 0.1670
O7 0.5256 0.2371 0.5003
O8 0.0087 0.2706 0.0168
O9 0.4929 0.7540 0.9835
O10 0.6426 0.9037 0.8336
O11 0.1585 0.4205 0.3168
O12 0.3254 0.0618 0.6501
O13 0.9930 0.7287 0.9836
O14 0.5087 0.2454 0.0169
O15 0.1925 0.9036 0.8336
O16 0.8254 0.0871 0.6502
O17 0.8088 0.0958 0.1669
O18 0.6586 0.3956 0.3169
O19 0.6754 0.9374 0.3502
O20 0.9754 0.2369 0.5001
O21 0.0258 0.7622 0.5003
O22 0.4755 0.7622 0.5001
O23 0.1753 0.9120 0.3501
O24 0.3587 0.0955 0.1668
Li1 0.2500 0.3745 0.5002
Li2 0.9171 0.0413 0.8335
Li3 0.7506 0.6255 0.4999
Li4 0.0832 0.9580 0.1668
Li5 0.4172 0.2906 0.8336
Li6 0.5834 0.7091 0.1668


| no. | formation energy (eV per atom) |
| --- | --- |
| 1 | -2.96 |
| 2 | -0.72 |
| 3 | -0.53 |
| 4 | -2.03 |
| 5 | -0.93 |
| 6 | -1.37 |
| 7 | -0.36 |
| 8 | -1.13 |
| 9 | -1.56 |
| 10 | 0.00 |
| 11 | -0.39 |
| 12 | -0.46 |
| 13 | -1.73 |
| 14 | -2.82 |
| 15 | -1.74 |
| 16 | -0.47 |
| 17 | -0.24 |
| 18 | -2.17 |